Record 1
{"formula": "AlSeO10", "functional": "PBE-GGA", "state": "optimized geometry", "sg": "P2_1/c (14)", "dft_energy_ev_per_atom": -5.138, "delta_e_f_ev_per_atom": -0.545, "relative_energy_kj_per_mol_atoms": 0.0, "lattice_angstrom": [[6.3638, -6.0532, 1.7812], [-3.3164, -5.6410, -4.0324], [5.9163, 3.3918, -9.6106]], "species": ["Se", "O", "O", "O", "O", "O", "O", "O", "O", "O", "O", "O", "Al", "Al", "Al", "O", "Se", "O", "O", "O", "O", "O", "O", "O", "Al", "O", "O", "O", "O", "O", "O", "O", "O", "O", "O", "O", "O", "O", "Se", "O", "O", "O", "O", "O", "O", "O", "O", "Se"], "frac_coords": [[0.7356, 0.3619, 0.2921], [0.9685, 0.0114, 0.4539], [0.3147, 0.1526, 0.7359], [0.8147, 0.6526, 0.7641], [0.3628, 0.0939, 0.8279], [0.2465, 0.2105, 0.5226], [0.3054, 0.3210, 0.4622], [0.0636, 0.5603, 0.9319], [0.7905, 0.2900, 0.1610], [0.4199, 0.5088, 0.7058], [0.5801, 0.4912, 0.2942], [0.7095, 0.2100, 0.6610], [0.6228, 0.0019, 0.4274], [0.3772, 0.9981, 0.5726], [0.1228, 0.5019, 0.0726], [0.2535, 0.2895, 0.0226], [0.2644, 0.6381, 0.7079], [0.6260, 0.0666, 0.8673], [0.1372, 0.4061, 0.3279], [0.5636, 0.0603, 0.5681], [0.7535, 0.7895, 0.4774], [0.9199, 0.0088, 0.7942], [0.0315, 0.9886, 0.5461], [0.8628, 0.5939, 0.6721], [0.8772, 0.4981, 0.9274], [0.4364, 0.9397, 0.4319], [0.8054, 0.8210, 0.0378], [0.6946, 0.6790, 0.5378], [0.1949, 0.6638, 0.1485], [0.3740, 0.9334, 0.1327], [0.7465, 0.7105, 0.9774], [0.3051, 0.8362, 0.6485], [0.8740, 0.4334, 0.3673], [0.9364, 0.4397, 0.0681], [0.0801, 0.9912, 0.2058], [0.6853, 0.8474, 0.2641], [0.6949, 0.1638, 0.3515], [0.5315, 0.4886, 0.9539], [0.7644, 0.1381, 0.7921], [0.2905, 0.7900, 0.3390], [0.2095, 0.7100, 0.8390], [0.1260, 0.5666, 0.6327], [0.1946, 0.1790, 0.9622], [0.6372, 0.9061, 0.1721], [0.8051, 0.3362, 0.8515], [0.4685, 0.5114, 0.0461], [0.1853, 0.3474, 0.2359], [0.2356, 0.8619, 0.2079]]}



Record 2
{"formula": "AlSeO10", "functional": "PBE-GGA", "state": "optimized geometry", "sg": "P2_1/c (14)", "dft_energy_ev_per_atom": -5.110, "delta_e_f_ev_per_atom": -0.384, "relative_energy_kj_per_mol_atoms": 15.6, "lattice_angstrom": [[-6.1035, 3.4746, 6.9112], [0.5876, -7.3891, 4.2338], [7.4332, -3.6163, 8.3826]], "species": ["O", "O", "O", "O", "O", "O", "Se", "O", "O", "O", "O", "Al", "O", "O", "O", "O", "O", "O", "O", "Se", "O", "O", "O", "Se", "Al", "O", "O", "Al", "O", "O", "O", "O", "O", "O", "O", "O", "O", "O", "O", "O", "O", "O", "O", "Al", "Se", "O", "O", "O"], "frac_coords": [[0.0826, 0.0074, 0.5077], [0.5800, 0.5148, 0.3905], [0.5826, 0.9926, 0.9923], [0.4954, 0.3285, 0.6703], [0.5389, 0.3120, 0.0130], [0.8663, 0.4030, 0.5239], [0.6528, 0.3377, 0.2855], [0.2070, 0.5240, 0.7721], [0.5046, 0.6715, 0.3297], [0.6337, 0.4030, 0.0239], [0.7930, 0.4760, 0.2279], [0.5315, 0.9945, 0.1418], [0.5886, 0.0141, 0.7303], [0.9611, 0.3120, 0.5130], [0.9200, 0.5148, 0.8905], [0.8158, 0.9807, 0.7419], [0.0886, 0.9859, 0.7697], [0.9174, 0.9926, 0.4923], [0.8267, 0.0953, 0.9454], [0.8472, 0.3377, 0.7855], [0.1842, 0.0193, 0.2581], [0.9114, 0.0141, 0.2303], [0.4174, 0.0074, 0.0077], [0.3472, 0.6623, 0.7145], [0.9685, 0.9945, 0.6418], [0.6733, 0.0953, 0.4454], [0.1733, 0.9047, 0.0546], [0.0315, 0.0055, 0.3582], [0.8068, 0.8806, 0.2676], [0.3068, 0.1194, 0.2324], [0.4611, 0.6880, 0.9870], [0.1337, 0.5970, 0.4761], [0.0046, 0.3285, 0.1703], [0.2930, 0.5240, 0.2721], [0.3158, 0.0193, 0.7581], [0.4114, 0.9859, 0.2697], [0.1932, 0.1194, 0.7324], [0.3663, 0.5970, 0.9761], [0.6932, 0.8806, 0.7676], [0.3267, 0.9047, 0.5546], [0.4200, 0.4852, 0.6095], [0.6842, 0.9807, 0.2419], [0.0389, 0.6880, 0.4870], [0.4685, 0.0055, 0.8582], [0.1528, 0.6623, 0.2145], [0.7070, 0.4760, 0.7279], [0.9954, 0.6715, 0.8297], [0.0800, 0.4852, 0.1095]]}



Record 3
{"formula": "Al2Si2O7", "functional": "PBE-GGA", "state": "optimized geometry", "sg": "P1 (1)", "dft_energy_ev_per_atom": -7.447, "delta_e_f_ev_per_atom": -3.068, "lattice_angstrom": [[-3.5614, 1.8869, 3.5217], [2.9203, -6.3373, 5.8917], [6.2108, 4.2587, 0.4943]], "species": ["O", "O", "O", "O", "O", "O", "O", "Si", "Si", "Al", "O", "O", "Si", "Si", "Al", "Al", "O", "Al", "O", "O", "O", "O"], "frac_coords": [[0.4761, 0.6313, 0.5941], [0.9617, 0.4680, 0.5882], [0.7059, 0.7326, 0.0177], [0.9754, 0.1326, 0.5961], [0.5027, 0.9994, 0.0138], [0.2058, 0.7648, 0.0102], [0.2090, 0.2339, 0.0175], [0.5067, 0.8370, 0.0864], [0.9994, 0.6724, 0.0842], [0.4261, 0.7898, 0.4835], [0.0031, 0.4994, 0.0147], [0.6032, 0.8590, 0.3196], [0.0084, 0.3374, 0.0867], [0.5009, 0.1722, 0.0837], [0.9249, 0.2905, 0.4838], [0.1748, 0.5405, 0.4834], [0.1034, 0.3587, 0.3199], [0.6754, 0.0404, 0.4844], [0.6093, 0.1907, 0.3173], [0.7079, 0.2636, 0.0099], [0.1084, 0.6915, 0.3176], [0.4636, 0.9670, 0.5896]]}



Record 4
{"formula": "Al2Si2O9", "functional": "PBE-GGA", "state": "optimized geometry", "sg": "Cc (9)", "dft_energy_ev_per_atom": -6.877, "delta_e_f_ev_per_atom": -2.516, "relative_energy_kj_per_mol_atoms": 0.0, "lattice_angstrom": [[-5.0376, -0.7118, -1.1433], [3.0489, 2.7434, -3.2500], [3.1803, -14.0114, -5.2899]], "species": ["O", "O", "O", "Al", "O", "O", "Al", "O", "Al", "O", "O", "O", "O", "O", "O", "O", "Si", "O", "O", "O", "O", "O", "Si", "Si", "Al", "Si"], "frac_coords": [[0.7720, 0.7518, 0.2958], [0.7133, 0.8911, 0.1522], [0.3798, 0.9773, 0.2874], [0.4227, 0.6402, 0.2261], [0.1778, 0.8911, 0.6522], [0.5325, 0.0465, 0.0142], [0.0611, 0.0038, 0.2269], [0.4603, 0.5048, 0.0029], [0.2175, 0.6402, 0.7261], [0.1562, 0.3727, 0.2960], [0.5678, 0.6751, 0.6788], [0.1073, 0.6751, 0.1788], [0.9743, 0.9691, 0.5034], [0.3353, 0.2726, 0.1524], [0.0446, 0.5048, 0.5029], [0.2165, 0.3727, 0.7960], [0.1805, 0.8550, 0.5428], [0.5975, 0.9773, 0.7874], [0.9948, 0.9691, 0.0034], [0.9798, 0.7518, 0.7958], [0.5140, 0.0465, 0.5142], [0.9373, 0.2726, 0.6524], [0.3346, 0.1980, 0.0432], [0.8635, 0.1980, 0.5432], [0.9428, 0.0038, 0.7269], [0.6744, 0.8550, 0.0428]]}